No. 1
The following is a PBE calculation of a relaxed structure of YCuSO7, from Materials Project.

abc: 6.085 6.118 14.900
angles: 90.00 90.00 90.00
Sites, in units of the cell vectors:
O1 0.015 0.706 0.986
O2 0.485 0.794 0.486
O3 0.750 0.027 0.857
O4 0.985 0.206 0.514
O5 0.485 0.706 0.986
O6 0.449 0.634 0.172
O7 0.750 0.301 0.208
O8 0.250 0.699 0.792
O9 0.985 0.294 0.014
O10 0.250 0.973 0.143
O11 0.750 0.199 0.708
O12 0.250 0.056 0.936
O13 0.949 0.366 0.828
O14 0.250 0.444 0.436
O15 0.750 0.944 0.064
O16 0.750 0.473 0.357
O17 0.051 0.866 0.672
O18 0.250 0.801 0.292
O19 0.449 0.866 0.672
O20 0.015 0.794 0.486
O21 0.515 0.206 0.514
O22 0.515 0.294 0.014
O23 0.750 0.556 0.564
O24 0.051 0.634 0.172
O25 0.949 0.134 0.328
O26 0.551 0.134 0.328
O27 0.551 0.366 0.828
O28 0.250 0.527 0.643
Y1 0.250 0.461 0.915
Y2 0.750 0.961 0.585
Y3 0.250 0.039 0.415
Y4 0.750 0.539 0.085
Cu1 0.500 0.500 0.500
Cu2 0.000 0.000 0.000
Cu3 0.500 0.000 0.000
Cu4 0.000 0.500 0.500
S1 0.750 0.235 0.806
S2 0.250 0.735 0.694
S3 0.250 0.765 0.194
S4 0.750 0.265 0.306

=====

No. 2
The following is a PBE calculation of a relaxed structure of Cu2SbO5, from Materials Project.

abc: 7.138 7.440 13.789
angles: 88.50 102.41 116.72
Sites, in units of the cell vectors:
Cu1 0.221 0.200 0.052
Cu2 0.194 0.703 0.544
Sb1 0.509 0.725 0.764
O1 0.761 0.707 0.773
O2 0.064 0.816 0.470
O3 0.336 0.603 0.629
O4 0.089 0.314 0.979
O5 0.348 0.089 0.129

=====

No. 3
The following is a PBE calculation of a relaxed structure of Cu13Si2Sb2O28, from Materials Project.

Computed properties:
**Energy relative to the lowest polymorph listed for this composition**: 9 meV per atom

abc: 5.410 8.062 11.962
angles: 88.15 77.12 81.98
Sites, in units of the cell vectors:
O1 0.556 0.861 0.306
O2 0.879 0.119 0.831
O3 0.911 0.341 0.000
O4 0.020 0.119 0.568
O5 0.704 0.887 0.998
O6 0.867 0.858 0.693
O7 0.415 0.879 0.568
O8 0.273 0.394 0.120
O9 0.712 0.393 0.297
O10 0.296 0.112 0.003
O11 0.446 0.137 0.695
O12 0.294 0.878 0.832
O13 0.687 0.421 0.583
O14 0.987 0.607 0.296
O15 0.394 0.391 0.882
O16 0.710 0.121 0.169
O17 0.122 0.878 0.169
O18 0.287 0.605 0.704
O19 0.268 0.422 0.417
O20 0.732 0.576 0.583
O21 0.135 0.140 0.307
O22 0.014 0.391 0.703
O23 0.606 0.607 0.118
O24 0.313 0.579 0.416
O25 0.088 0.657 0.000
O26 0.587 0.119 0.433
O27 0.726 0.606 0.880
O28 0.981 0.879 0.432
Cu1 0.421 0.999 0.158
Cu2 0.815 0.360 0.852
Cu3 0.336 0.637 0.852
Cu4 0.720 0.999 0.564
Cu5 0.282 0.000 0.437
Cu6 0.667 0.361 0.148
Cu7 0.372 0.375 0.680
Cu8 0.187 0.638 0.149
Cu9 0.047 0.377 0.322
Cu10 0.628 0.623 0.321
Cu11 0.953 0.621 0.679
Cu12 0.580 0.000 0.842
Cu13 0.000 0.000 0.000
Sb1 0.849 0.000 0.302
Sb2 0.153 0.998 0.699
Si1 0.779 0.680 0.999
Si2 0.221 0.320 0.001

=====

No. 4
The following is a PBE calculation of a relaxed structure of Cu13Si2Sb2O28, from Materials Project.

Computed properties:
**Energy relative to the lowest polymorph listed for this composition**: 0 meV per atom

abc: 5.403 7.980 12.043
angles: 88.04 81.28 82.91
Sites, in units of the cell vectors:
O1 0.977 0.618 0.300
O2 0.270 0.428 0.421
O3 0.696 0.402 0.295
O4 0.305 0.596 0.705
O5 0.581 0.122 0.436
O6 0.896 0.319 0.003
O7 0.024 0.381 0.700
O8 0.678 0.414 0.584
O9 0.323 0.585 0.417
O10 0.331 0.869 0.824
O11 0.105 0.679 0.998
O12 0.236 0.411 0.131
O13 0.643 0.614 0.102
O14 0.730 0.570 0.580
O15 0.765 0.587 0.870
O16 0.924 0.113 0.824
O17 0.105 0.152 0.320
O18 0.076 0.886 0.177
O19 0.968 0.880 0.432
O20 0.420 0.877 0.564
O21 0.896 0.847 0.681
O22 0.033 0.119 0.568
O23 0.358 0.384 0.898
O24 0.282 0.110 0.032
O25 0.527 0.871 0.303
O26 0.670 0.129 0.176
O27 0.474 0.128 0.698
O28 0.719 0.889 0.968
Cu1 0.973 0.611 0.671
Cu2 0.730 0.994 0.561
Cu3 0.385 0.367 0.682
Cu4 0.271 0.004 0.439
Cu5 0.123 0.648 0.153
Cu6 0.028 0.388 0.329
Cu7 0.877 0.350 0.847
Cu8 0.616 0.631 0.318
Cu9 0.392 0.996 0.169
Cu10 0.609 0.002 0.831
Cu11 0.001 0.999 0.000
Cu12 0.334 0.628 0.858
Cu13 0.667 0.370 0.143
Sb1 0.823 0.012 0.306
Sb2 0.178 0.986 0.695
Si1 0.796 0.682 0.985
Si2 0.205 0.316 0.015

=====

No. 5
The following is a PBE calculation of a relaxed structure of Cu5SiSb2O12, from Materials Project.

abc: 9.551 9.716 19.241
angles: 90.00 90.00 90.00
Sites, in units of the cell vectors:
Si1 0.253 0.007 0.127
Si2 0.747 0.493 0.627
Si3 0.253 0.493 0.873
Si4 0.747 0.993 0.873
Si5 0.253 0.507 0.373
Si6 0.253 0.993 0.627
Si7 0.747 0.507 0.127
Si8 0.747 0.007 0.373
O1 0.069 0.843 0.444
O2 0.906 0.315 0.306
O3 0.110 0.100 0.308
O4 0.830 0.428 0.189
O5 0.110 0.900 0.808
O6 0.398 0.815 0.803
O7 0.859 0.876 0.554
O8 0.855 0.562 0.069
O9 0.906 0.185 0.694
O10 0.859 0.376 0.946
O11 0.642 0.133 0.554
O12 0.110 0.600 0.192
O13 0.358 0.133 0.946
O14 0.602 0.685 0.303
O15 0.426 0.147 0.445
O16 0.666 0.641 0.159
O17 0.334 0.359 0.841
O18 0.069 0.657 0.556
O19 0.069 0.157 0.944
O20 0.141 0.376 0.554
O21 0.145 0.938 0.569
O22 0.094 0.185 0.806
O23 0.666 0.141 0.341
O24 0.393 0.910 0.310
O25 0.363 0.099 0.592
O26 0.859 0.124 0.054
O27 0.855 0.438 0.569
O28 0.890 0.400 0.808
O29 0.094 0.685 0.694
O30 0.145 0.438 0.931
O31 0.363 0.901 0.092
O32 0.334 0.641 0.341
O33 0.666 0.359 0.659
O34 0.141 0.624 0.054
O35 0.830 0.572 0.689
O36 0.141 0.876 0.946
O37 0.931 0.157 0.556
O38 0.398 0.315 0.697
O39 0.855 0.062 0.431
O40 0.890 0.100 0.192
O41 0.642 0.367 0.446
O42 0.145 0.062 0.069
O43 0.859 0.624 0.446
O44 0.141 0.124 0.446
O45 0.607 0.590 0.810
O46 0.170 0.928 0.189
O47 0.931 0.343 0.444
O48 0.607 0.090 0.690
O49 0.574 0.647 0.445
O50 0.069 0.343 0.056
O51 0.607 0.410 0.310
O52 0.931 0.843 0.056
O53 0.358 0.367 0.054
O54 0.094 0.315 0.194
O55 0.426 0.853 0.945
O56 0.830 0.928 0.311
O57 0.426 0.647 0.055
O58 0.574 0.353 0.945
O59 0.931 0.657 0.944
O60 0.170 0.428 0.311
O61 0.393 0.090 0.810
O62 0.334 0.141 0.159
O63 0.334 0.859 0.659
O64 0.363 0.599 0.908
O65 0.666 0.859 0.841
O66 0.574 0.147 0.055
O67 0.393 0.590 0.690
O68 0.398 0.685 0.197
O69 0.358 0.633 0.554
O70 0.358 0.867 0.446
O71 0.602 0.315 0.803
O72 0.110 0.400 0.692
O73 0.363 0.401 0.408
O74 0.607 0.910 0.190
O75 0.398 0.185 0.303
O76 0.393 0.410 0.190
O77 0.602 0.815 0.697
O78 0.637 0.599 0.592
O79 0.642 0.867 0.054
O80 0.145 0.562 0.431
O81 0.426 0.353 0.555
O82 0.830 0.072 0.811
O83 0.637 0.099 0.908
O84 0.574 0.853 0.555
O85 0.855 0.938 0.931
O86 0.094 0.815 0.306
O87 0.890 0.600 0.308
O88 0.602 0.185 0.197
O89 0.170 0.072 0.689
O90 0.637 0.401 0.092
O91 0.637 0.901 0.408
O92 0.890 0.900 0.692
O93 0.170 0.572 0.811
O94 0.906 0.815 0.194
O95 0.906 0.685 0.806
O96 0.642 0.633 0.946
Cu1 0.021 0.228 0.376
Cu2 0.246 0.755 0.250
Cu3 0.021 0.728 0.124
Cu4 0.744 0.502 0.377
Cu5 0.500 0.540 0.250
Cu6 0.979 0.228 0.124
Cu7 0.724 0.750 0.500
Cu8 0.724 0.250 0.000
Cu9 0.021 0.272 0.624
Cu10 0.276 0.750 0.000
Cu11 0.256 0.502 0.123
Cu12 0.500 0.000 0.500
Cu13 0.221 0.750 0.500
Cu14 0.500 0.500 0.500
Cu15 0.744 0.498 0.877
Cu16 0.979 0.728 0.376
Cu17 0.754 0.255 0.250
Cu18 0.256 0.498 0.623
Cu19 0.744 0.998 0.623
Cu20 0.500 0.460 0.750
Cu21 0.754 0.755 0.250
Cu22 0.754 0.745 0.750
Cu23 0.246 0.245 0.750
Cu24 0.256 0.998 0.877
Cu25 0.500 0.000 0.000
Cu26 0.246 0.255 0.250
Cu27 0.221 0.250 0.000
Cu28 0.779 0.750 0.000
Cu29 0.021 0.772 0.876
Cu30 0.256 0.002 0.377
Cu31 0.744 0.002 0.123
Cu32 0.779 0.250 0.500
Cu33 0.500 0.040 0.250
Cu34 0.979 0.272 0.876
Cu35 0.500 0.500 0.000
Cu36 0.276 0.250 0.500
Cu37 0.979 0.772 0.624
Cu38 0.754 0.245 0.750
Cu39 0.246 0.745 0.750
Cu40 0.500 0.960 0.750
Sb1 0.485 0.728 0.625
Sb2 0.515 0.228 0.625
Sb3 0.485 0.772 0.375
Sb4 0.515 0.772 0.125
Sb5 0.515 0.728 0.875
Sb6 0.000 0.536 0.750
Sb7 0.000 0.036 0.750
Sb8 0.000 0.500 0.000
Sb9 0.000 0.464 0.250
Sb10 0.000 0.500 0.500
Sb11 0.515 0.272 0.375
Sb12 0.000 0.000 0.000
Sb13 0.000 0.000 0.500
Sb14 0.485 0.228 0.875
Sb15 0.485 0.272 0.125
Sb16 0.000 0.964 0.250

=====

No. 6
The following is a PBE calculation of a relaxed structure of Sr2Cu2SbO7, from Materials Project.

abc: 13.779 13.779 13.779
angles: 158.35 158.09 30.99
Sites, in units of the cell vectors:
O1 0.864 0.648 0.012
O2 0.663 0.151 0.463
O3 0.323 0.804 0.978
O4 0.173 0.652 0.977
O5 0.136 0.148 0.783
O6 0.176 0.152 0.479
O7 0.827 0.803 0.479
O8 0.188 0.651 0.489
O9 0.824 0.303 0.977
O10 0.677 0.654 0.481
O11 0.812 0.301 0.463
O12 0.674 0.154 0.978
O13 0.326 0.304 0.481
O14 0.337 0.801 0.489
Sb1 0.766 0.269 0.535
Sb2 0.234 0.769 0.502
Sr1 0.361 0.340 0.979
Sr2 0.639 0.618 0.979
Sr3 0.140 0.118 0.979
Sr4 0.860 0.840 0.979
Cu1 0.942 0.419 0.480
Cu2 0.058 0.538 0.476
Cu3 0.438 0.919 0.476
Cu4 0.562 0.038 0.480

=====

No. 7
The following is a PBE calculation of a relaxed structure of YCu3Sb4O12, from Materials Project.

abc: 6.865 6.865 6.865
angles: 109.47 109.47 109.47
Sites, in units of the cell vectors:
O1 0.461 0.294 0.168
O2 0.126 0.294 0.832
O3 0.294 0.168 0.461
O4 0.706 0.168 0.874
O5 0.539 0.706 0.832
O6 0.706 0.832 0.539
O7 0.168 0.874 0.706
O8 0.168 0.461 0.294
O9 0.874 0.706 0.168
O10 0.832 0.539 0.706
O11 0.294 0.832 0.126
O12 0.832 0.126 0.294
Cu1 0.000 0.500 0.500
Cu2 0.500 0.000 0.500
Cu3 0.500 0.500 0.000
Sb1 0.500 0.500 0.500
Sb2 0.000 0.000 0.500
Sb3 0.000 0.500 0.000
Sb4 0.500 0.000 0.000
Y1 0.000 0.000 0.000

=====

No. 8
The following is a PBE calculation of a relaxed structure of Zn2CuSbO6, from Materials Project.

abc: 7.529 5.391 5.458
angles: 81.08 90.00 90.00
Sites, in units of the cell vectors:
O1 0.574 0.204 0.858
O2 0.074 0.796 0.142
O3 0.750 0.086 0.407
O4 0.926 0.204 0.858
O5 0.250 0.914 0.593
O6 0.942 0.676 0.654
O7 0.058 0.324 0.346
O8 0.750 0.595 0.125
O9 0.558 0.676 0.654
O10 0.442 0.324 0.346
O11 0.426 0.796 0.142
O12 0.250 0.405 0.875
Cu1 0.000 0.000 0.500
Cu2 0.500 0.000 0.500
Zn1 0.750 0.437 0.531
Zn2 0.750 0.983 0.062
Zn3 0.250 0.017 0.938
Zn4 0.250 0.563 0.469
Sb1 0.000 0.500 0.000
Sb2 0.500 0.500 0.000

=====

No. 9
The following is a PBE calculation of a relaxed structure of ZnCu3Sb4O12, from Materials Project.

abc: 6.771 6.771 6.771
angles: 109.47 109.47 109.47
Sites, in units of the cell vectors:
Cu1 0.500 0.500 0.000
Cu2 0.000 0.500 0.500
Cu3 0.500 0.000 0.500
O1 0.873 0.698 0.175
O2 0.476 0.302 0.175
O3 0.127 0.302 0.825
O4 0.175 0.476 0.302
O5 0.698 0.825 0.524
O6 0.825 0.524 0.698
O7 0.175 0.873 0.698
O8 0.825 0.127 0.302
O9 0.524 0.698 0.825
O10 0.698 0.175 0.873
O11 0.302 0.175 0.476
O12 0.302 0.825 0.127
Sb1 0.000 0.000 0.500
Sb2 0.500 0.000 0.000
Sb3 0.500 0.500 0.500
Sb4 0.000 0.500 0.000
Zn1 0.000 0.000 0.000

=====

Sequential total energy output: -6.35; -4.33; -5.49; -5.50; -5.81; -5.57; -6.02; -5.11; -5.45 eV per atom
Sequential energy of formation from the pure elements output: -182.7; -12.0; -86.7; -87.6; -149.3; -171.5; -163.8; -143.1; -134.0 kJ per mole of atoms